{
  "formula": "MnO2",
  "functional": "r2SCAN",
  "state": "optimized geometry",
  "lattice_angstrom": [[2.8469, 0.0000, 0.0000], [0.0000, 8.4794, 0.0000], [0.0000, 0.0000, 10.1690]],
  "species": ["Mn", "Mn", "Mn", "Mn", "Mn", "Mn", "Mn", "Mn", "O", "O", "O", "O", "O", "O", "O", "O", "O", "O", "O", "O", "O", "O", "O", "O"],
  "fractional_positions": [[0.7500, 0.9458, 0.8853], [0.7500, 0.4458, 0.6147], [0.2500, 0.0542, 0.1147], [0.2500, 0.5542, 0.3853], [0.7500, 0.9151, 0.3996], [0.2500, 0.5849, 0.8996], [0.7500, 0.4151, 0.1004], [0.2500, 0.0849, 0.6004], [0.7500, 0.1172, 0.4800], [0.2500, 0.5839, 0.5705], [0.7500, 0.1960, 0.1488], [0.2500, 0.3040, 0.6488], [0.2500, 0.8828, 0.5200], [0.2500, 0.4671, 0.2130], [0.2500, 0.8040, 0.8512], [0.7500, 0.9161, 0.0705], [0.7500, 0.6172, 0.0200], [0.7500, 0.5329, 0.7870], [0.2500, 0.9671, 0.2870], [0.2500, 0.3828, 0.9800], [0.7500, 0.0329, 0.7130], [0.7500, 0.4161, 0.4295], [0.2500, 0.0839, 0.9295], [0.7500, 0.6960, 0.3512]],
  "mass_density_g_cm3": 4.70,
  "e_form_ev_per_atom": -1.995,
  "vol_a3_per_atom": 10.228
}

{
  "formula": "PbCl2",
  "functional": "r2SCAN",
  "state": "optimized geometry",
  "lattice_angstrom": [[4.1636, 0.0000, 0.0000], [0.0000, 10.0050, -0.0166], [0.0000, 0.0230, 15.6818]],
  "species": ["Pb", "Pb", "Pb", "Pb", "Pb", "Pb", "Pb", "Pb", "Cl", "Cl", "Cl", "Cl", "Cl", "Cl", "Cl", "Cl", "Cl", "Cl", "Cl", "Cl", "Cl", "Cl", "Cl", "Cl"],
  "fractional_positions": [[0.7575, 0.6593, 0.1636], [0.2503, 0.1593, 0.5863], [0.2425, 0.3407, 0.8364], [0.2575, 0.3407, 0.3364], [0.7503, 0.8407, 0.9137], [0.2497, 0.1593, 0.0863], [0.7425, 0.6593, 0.6636], [0.7497, 0.8407, 0.4137], [0.7507, 0.3075, 0.9970], [0.7458, 0.1926, 0.7470], [0.7493, 0.3075, 0.4970], [0.7542, 0.1926, 0.2470], [0.2458, 0.8074, 0.7530], [0.2492, 0.0511, 0.9159], [0.7492, 0.9489, 0.5841], [0.7554, 0.5509, 0.3340], [0.2446, 0.4491, 0.6660], [0.2508, 0.0511, 0.4159], [0.7446, 0.5509, 0.8340], [0.7508, 0.9489, 0.0841], [0.2507, 0.6925, 0.5030], [0.2493, 0.6925, 0.0030], [0.2542, 0.8074, 0.2530], [0.2554, 0.4491, 0.1660]],
  "mass_density_g_cm3": 5.66,
  "e_form_ev_per_atom": -1.295,
  "vol_a3_per_atom": 27.219
}

{
  "formula": "Ba3P3I2",
  "functional": "r2SCAN",
  "state": "optimized geometry",
  "lattice_angstrom": [[4.5919, 0.0000, 0.0000], [0.0000, 14.2930, 0.0000], [0.0000, 0.0000, 17.5337]],
  "species": ["Ba", "Ba", "Ba", "Ba", "Ba", "Ba", "Ba", "Ba", "Ba", "Ba", "Ba", "Ba", "P", "P", "P", "P", "P", "P", "P", "P", "P", "P", "P", "P", "I", "I", "I", "I", "I", "I", "I", "I"],
  "fractional_positions": [[0.2500, 0.4585, 0.6445], [0.7500, 0.5415, 0.3555], [0.7500, 0.9585, 0.8555], [0.2500, 0.0415, 0.1445], [0.2500, 0.7118, 0.1590], [0.7500, 0.2882, 0.8410], [0.7500, 0.2118, 0.3410], [0.2500, 0.7882, 0.6590], [0.2500, 0.6166, 0.8716], [0.7500, 0.3834, 0.1284], [0.7500, 0.1166, 0.6284], [0.2500, 0.8834, 0.3716], [0.2500, 0.3739, 0.2844], [0.7500, 0.6261, 0.7156], [0.7500, 0.8739, 0.2156], [0.2500, 0.1261, 0.7844], [0.2500, 0.2532, 0.2115], [0.7500, 0.7468, 0.7885], [0.7500, 0.7532, 0.2885], [0.2500, 0.2468, 0.7115], [0.2500, 0.5038, 0.2244], [0.7500, 0.4962, 0.7756], [0.7500, 0.0038, 0.2756], [0.2500, 0.9962, 0.7244], [0.2500, 0.1140, 0.4702], [0.7500, 0.8860, 0.5298], [0.7500, 0.6140, 0.0298], [0.2500, 0.3860, 0.9702], [0.2500, 0.6346, 0.4911], [0.7500, 0.3654, 0.5089], [0.7500, 0.1346, 0.0089], [0.2500, 0.8654, 0.9911]],
  "mass_density_g_cm3": 4.38,
  "e_form_ev_per_atom": -1.452,
  "vol_a3_per_atom": 35.962
}

{
  "formula": "SiO2",
  "functional": "r2SCAN",
  "state": "optimized geometry",
  "lattice_angstrom": [[8.0713, 0.0000, 0.0000], [0.0000, 8.9864, 0.0000], [0.0000, 0.0000, 8.9864]],
  "species": ["Si", "Si", "Si", "Si", "Si", "Si", "Si", "Si", "Si", "Si", "Si", "Si", "Si", "Si", "Si", "Si", "O", "O", "O", "O", "O", "O", "O", "O", "O", "O", "O", "O", "O", "O", "O", "O", "O", "O", "O", "O", "O", "O", "O", "O", "O", "O", "O", "O", "O", "O", "O", "O"],
  "fractional_positions": [[0.6872, 0.0325, 0.8054], [0.1872, 0.3054, 0.5325], [0.3128, 0.4675, 0.8054], [0.8128, 0.3054, 0.9675], [0.6872, 0.5325, 0.1946], [0.8128, 0.1946, 0.5325], [0.1872, 0.8054, 0.4675], [0.3128, 0.5325, 0.3054], [0.6872, 0.4675, 0.6946], [0.8128, 0.6946, 0.4675], [0.6872, 0.9675, 0.3054], [0.8128, 0.8054, 0.0325], [0.1872, 0.1946, 0.9675], [0.3128, 0.0325, 0.6946], [0.3128, 0.9675, 0.1946], [0.1872, 0.6946, 0.0325], [0.7500, 0.6197, 0.6197], [0.1935, 0.5735, 0.1664], [0.6935, 0.3336, 0.5735], [0.7500, 0.3803, 0.1197], [0.0000, 0.2500, 0.5117], [0.6935, 0.1664, 0.9265], [0.0000, 0.2500, 0.9883], [0.8065, 0.9265, 0.1664], [0.2500, 0.8803, 0.6197], [0.1935, 0.9265, 0.3336], [0.1935, 0.0735, 0.8336], [0.1935, 0.4265, 0.6664], [0.2500, 0.1197, 0.1197], [0.8065, 0.4265, 0.8336], [0.3065, 0.3336, 0.9265], [0.8065, 0.0735, 0.6664], [0.5000, 0.4883, 0.7500], [0.7500, 0.8803, 0.8803], [0.3065, 0.1664, 0.5735], [0.8065, 0.5735, 0.3336], [0.6935, 0.6664, 0.0735], [0.5000, 0.9883, 0.2500], [0.6935, 0.8336, 0.4265], [0.5000, 0.5117, 0.2500], [0.5000, 0.0117, 0.7500], [0.3065, 0.6664, 0.4265], [0.0000, 0.7500, 0.4883], [0.3065, 0.8336, 0.0735], [0.0000, 0.7500, 0.0117], [0.2500, 0.3803, 0.3803], [0.2500, 0.6197, 0.8803], [0.7500, 0.1197, 0.3803]],
  "mass_density_g_cm3": 2.45,
  "e_form_ev_per_atom": -3.019,
  "vol_a3_per_atom": 13.579
}